[1]
# Fe5P8O28 (GGA+U, relaxed)
data_Fe5P8O28
_symmetry_space_group_name_H-M 'P -1'
_symmetry_Int_Tables_number 2
_cell_length_a 9.487
_cell_length_b 10.765
_cell_length_c 12.705
_cell_angle_alpha 80.15
_cell_angle_beta 73.87
_cell_angle_gamma 63.91
loop_
_symmetry_equiv_pos_as_xyz
'x,y,z'
'-x,-y,-z'
loop_
_atom_site_label
_atom_site_type_symbol
_atom_site_fract_x
_atom_site_fract_y
_atom_site_fract_z
Fe1 Fe 0.103 0.296 0.106
Fe2 Fe 0.120 0.288 0.622
Fe3 Fe 0.247 0.743 0.441
Fe4 Fe 0.271 0.748 0.932
Fe5 Fe 0.300 0.008 0.260
P1 P 0.130 0.808 0.694
P2 P 0.143 0.811 0.192
P3 P 0.152 0.052 0.538
P4 P 0.159 0.037 0.046
P5 P 0.228 0.456 0.402
P6 P 0.254 0.458 0.901
P7 P 0.365 0.288 0.211
P8 P 0.411 0.286 0.711
O1 O 0.001 0.813 0.471
O2 O 0.005 0.772 0.248
O3 O 0.035 0.187 0.029
O4 O 0.043 0.187 0.259
O5 O 0.060 0.968 0.142
O6 O 0.062 0.530 0.377
O7 O 0.089 0.962 0.638
O8 O 0.090 0.541 0.870
O9 O 0.201 0.365 0.181
O10 O 0.222 0.781 0.782
O11 O 0.222 0.950 0.947
O12 O 0.223 0.966 0.434
O13 O 0.231 0.824 0.274
O14 O 0.232 0.713 0.599
O15 O 0.240 0.335 0.484
O16 O 0.241 0.320 0.704
O17 O 0.250 0.329 0.972
O18 O 0.256 0.724 0.095
O19 O 0.266 0.091 0.574
O20 O 0.284 0.049 0.098
O21 O 0.288 0.555 0.428
O22 O 0.304 0.551 0.945
O23 O 0.364 0.383 0.295
O24 O 0.381 0.144 0.265
O25 O 0.390 0.399 0.790
O26 O 0.479 0.694 0.397
O27 O 0.488 0.140 0.765
O28 O 0.495 0.716 0.884
# Density = 2.90 g/cm³
# Formation energy from the elements = -2.33 eV per atom

[2]
# MgFeF4 (GGA+U, relaxed)
data_MgFeF4
_symmetry_space_group_name_H-M 'P 1'
_symmetry_Int_Tables_number 1
_cell_length_a 5.045
_cell_length_b 5.066
_cell_length_c 6.234
_cell_angle_alpha 66.07
_cell_angle_beta 66.34
_cell_angle_gamma 89.93
loop_
_symmetry_equiv_pos_as_xyz
'x,y,z'
loop_
_atom_site_label
_atom_site_type_symbol
_atom_site_fract_x
_atom_site_fract_y
_atom_site_fract_z
Mg1 Mg 0.000 0.000 0.000
Mg2 Mg 0.499 0.499 0.000
Fe1 Fe 0.252 0.748 0.498
Fe2 Fe 0.749 0.247 0.501
F1 F 0.109 0.154 0.240
F2 F 0.147 0.655 0.237
F3 F 0.356 0.844 0.758
F4 F 0.388 0.341 0.763
F5 F 0.610 0.103 0.236
F6 F 0.645 0.600 0.242
F7 F 0.852 0.898 0.764
F8 F 0.889 0.400 0.760
# Density = 3.96 g/cm³
# Polymorph energy (0 for the lowest one) = 0.000 eV/atom
# Formation energy from the elements = -3.08 eV per atom

[3]
# Li7Fe7SiO16 (GGA+U, relaxed)
data_Li7Fe7SiO16
_symmetry_space_group_name_H-M 'C 2 2 2'
_symmetry_Int_Tables_number 21
_cell_length_a 5.747
_cell_length_b 8.754
_cell_length_c 11.410
_cell_angle_alpha 90.00
_cell_angle_beta 90.00
_cell_angle_gamma 90.00
loop_
_symmetry_equiv_pos_as_xyz
'x,y,z'
'-x,-y,z'
'x,-y,-z'
'-x,y,-z'
'x+1/2,y+1/2,z'
'-x+1/2,-y+1/2,z'
'x+1/2,-y+1/2,-z'
'-x+1/2,y+1/2,-z'
loop_
_atom_site_label
_atom_site_type_symbol
_atom_site_fract_x
_atom_site_fract_y
_atom_site_fract_z
Li1 Li 0.000 0.000 0.000
Li2 Li 0.000 0.500 0.251
Li3 Li 0.250 0.250 0.127
Li4 Li 0.250 0.250 0.622
Fe1 Fe 0.000 0.000 0.262
Fe2 Fe 0.000 0.500 0.000
Fe3 Fe 0.250 0.250 0.379
Fe4 Fe 0.250 0.250 0.873
Si1 Si 0.000 0.500 0.500
O1 O 0.000 0.268 0.000
O2 O 0.000 0.298 0.500
O3 O 0.001 0.228 0.255
O4 O 0.228 0.484 0.383
O5 O 0.250 0.018 0.872
# Density = 4.19 g/cm³
# Polymorph energy (0 for the lowest one) = 0.003 eV/atom
# Formation energy from the elements = -2.02 eV per atom

[4]
# LiVPO5 (GGA+U, relaxed)
data_LiVPO5
_symmetry_space_group_name_H-M 'C 1 2/c 1'
_symmetry_Int_Tables_number 15
_cell_length_a 13.754
_cell_length_b 5.283
_cell_length_c 10.573
_cell_angle_alpha 90.00
_cell_angle_beta 114.65
_cell_angle_gamma 90.00
loop_
_symmetry_equiv_pos_as_xyz
'x,y,z'
'-x,-y,-z'
'-x,y,-z+1/2'
'x,-y,z+1/2'
'x+1/2,y+1/2,z'
'-x+1/2,-y+1/2,-z'
'-x+1/2,y+1/2,-z+1/2'
'x+1/2,-y+1/2,z+1/2'
loop_
_atom_site_label
_atom_site_type_symbol
_atom_site_fract_x
_atom_site_fract_y
_atom_site_fract_z
Li1 Li 0.000 0.000 0.000
Li2 Li 0.250 0.250 0.000
V1 V 0.000 0.022 0.250
V2 V 0.250 0.250 0.500
P1 P 0.124 0.485 0.689
O1 O 0.055 0.273 0.153
O2 O 0.057 0.240 0.663
O3 O 0.127 0.052 0.411
O4 O 0.181 0.479 0.590
O5 O 0.203 0.497 0.844
# Density = 3.21 g/cm³
# Polymorph energy (0 for the lowest one) = 0.027 eV/atom
# Formation energy from the elements = -2.64 eV per atom

The lowest formation energy from the elements belongs to which entry?
MgFeF4

What is the density in the first record?
2.90 g/cm³

What is the formula in the third record?
Li7Fe7SiO16